This record from the Materials Project database describes a relaxed structure of V2Se2O13. The functional is PBE+U.

a = 12.4166 Å, b = 12.4166 Å, c = 18.6512 Å
α = 92.63°, β = 92.63°, γ = 68.65°
With the nearest neighbours (Å) after each atom.
Sites, in units of the cell vectors:
V 0.1348 0.6678 0.9046  1 O 1.61
V 0.1459 0.1642 0.4058  2 O 1.63-1.74
V 0.1610 0.6379 0.4046  1 O 1.61
V 0.1642 0.1459 0.9058  2 O 1.63-1.74
V 0.3322 0.8652 0.5954  1 O 1.61
V 0.3354 0.3583 0.0935  2 O 1.64-1.68
V 0.3583 0.3354 0.5935  2 O 1.64-1.68
V 0.3621 0.8390 0.0954  1 O 1.61
V 0.6379 0.1610 0.9046  1 O 1.61
V 0.6417 0.6646 0.4065  2 O 1.64-1.68
V 0.6646 0.6417 0.9065  2 O 1.64-1.68
V 0.6678 0.1348 0.4046  1 O 1.61
V 0.8358 0.8541 0.0942  2 O 1.63-1.74
V 0.8390 0.3621 0.5954  1 O 1.61
V 0.8541 0.8358 0.5942  2 O 1.63-1.74
V 0.8652 0.3322 0.0954  1 O 1.61
Se 0.0741 0.0866 0.5569  3 O 1.64-1.80
Se 0.0763 0.5785 0.5639  2 O 1.63-1.78
Se 0.0768 0.5765 0.0586  3 O 1.68-1.84
Se 0.0866 0.0741 0.0569  3 O 1.64-1.80
Se 0.4183 0.4234 0.9385  3 O 1.64-1.80
Se 0.4215 0.9237 0.9361  2 O 1.63-1.78
Se 0.4234 0.4183 0.4385  3 O 1.64-1.80
Se 0.4235 0.9232 0.4414  3 O 1.68-1.84
Se 0.5765 0.0768 0.5586  3 O 1.68-1.84
Se 0.5766 0.5817 0.5615  3 O 1.64-1.80
Se 0.5785 0.0763 0.0639  2 O 1.63-1.78
Se 0.5817 0.5766 0.0615  3 O 1.64-1.80
Se 0.9134 0.9259 0.9431  3 O 1.64-1.80
Se 0.9232 0.4235 0.9414  3 O 1.68-1.84
Se 0.9237 0.4215 0.4361  2 O 1.63-1.78
Se 0.9259 0.9134 0.4431  3 O 1.64-1.80
O 0.0491 0.8206 0.9146  1 Se 1.80, 1 V 1.81
O 0.0572 0.6054 0.8613  1 V 1.61
O 0.0584 0.1849 0.6214  1 Se 1.64
O 0.0637 0.3215 0.4138  1 Se 1.78, 1 V 1.85
O 0.0715 0.6692 0.1281  1 Se 1.68
O 0.0744 0.0928 0.3631  1 V 1.63
O 0.0928 0.0744 0.8631  1 V 1.63
O 0.1003 0.5582 0.3616  1 V 1.61
O 0.1123 0.6681 0.4963  1 V 1.82, 1 Se 1.89
O 0.1177 0.1705 0.9995  1 Se 1.79, 1 V 1.84
O 0.1240 0.2877 0.8783  1 V 1.74
O 0.1621 0.5844 0.6316  1 Se 1.63
O 0.1686 0.6141 0.9969  1 Se 1.84, 1 V 1.85
O 0.1705 0.1177 0.4995  1 Se 1.79, 1 V 1.84
O 0.1717 0.7551 0.3486  1 O 1.42
O 0.1750 0.4444 0.0865  1 Se 1.74, 1 V 1.89
O 0.1756 0.2067 0.2557  1 O 1.29
O 0.1777 0.7190 0.2749  2 O 1.42-1.44
O 0.1794 0.9509 0.5854  1 Se 1.80, 1 V 1.81
O 0.1849 0.0584 0.1214  1 Se 1.64
O 0.1957 0.3018 0.2549  2 O 1.28-1.29
O 0.2067 0.1756 0.7557  1 O 1.29
O 0.2159 0.7841 0.7500  2 O 1.43
O 0.2240 0.6737 0.7744  2 O 1.43-1.44
O 0.2255 0.3574 0.6222  1 V 1.68
O 0.2449 0.8283 0.1514  1 O 1.42
O 0.2531 0.6724 0.8503  1 O 1.44
O 0.2810 0.8223 0.2251  2 O 1.42-1.44
O 0.2877 0.1240 0.3783  1 V 1.74
O 0.2882 0.7118 0.2500  2 O 1.44
O 0.2952 0.3008 0.7504  1 O 1.28
O 0.3008 0.2952 0.2504  1 O 1.28
O 0.3018 0.1957 0.7549  2 O 1.28-1.29
O 0.3148 0.5540 0.4127  1 Se 1.80, 1 V 1.81
O 0.3192 0.4323 0.8757  1 Se 1.64
O 0.3215 0.0637 0.9138  1 Se 1.78, 1 V 1.85
O 0.3263 0.7760 0.7256  2 O 1.43-1.44
O 0.3276 0.7469 0.6497  1 O 1.44
O 0.3308 0.9285 0.3719  1 Se 1.68
O 0.3319 0.8877 0.0037  1 V 1.82, 1 Se 1.89
O 0.3336 0.3878 0.5013  1 Se 1.80, 1 V 1.84
O 0.3574 0.2255 0.1222  1 V 1.68
O 0.3859 0.8314 0.5031  1 Se 1.84, 1 V 1.85
O 0.3878 0.3336 0.0013  1 Se 1.80, 1 V 1.84
O 0.3946 0.9428 0.6387  1 V 1.61
O 0.4059 0.4244 0.1436  1 V 1.64
O 0.4156 0.8379 0.8684  1 Se 1.63
O 0.4244 0.4059 0.6436  1 V 1.64
O 0.4323 0.3192 0.3757  1 Se 1.64
O 0.4418 0.8997 0.1384  1 V 1.61
O 0.4444 0.1750 0.5865  1 Se 1.74, 1 V 1.89
O 0.4460 0.6852 0.0873  1 Se 1.80, 1 V 1.81
O 0.5540 0.3148 0.9127  1 Se 1.80, 1 V 1.81
O 0.5556 0.8250 0.4135  1 Se 1.74, 1 V 1.89
O 0.5582 0.1003 0.8616  1 V 1.61
O 0.5677 0.6808 0.6243  1 Se 1.64
O 0.5756 0.5941 0.3564  1 V 1.64
O 0.5844 0.1621 0.1316  1 Se 1.63
O 0.5941 0.5756 0.8564  1 V 1.64
O 0.6054 0.0572 0.3613  1 V 1.61
O 0.6122 0.6664 0.9987  1 Se 1.80, 1 V 1.84
O 0.6141 0.1686 0.4969  1 Se 1.84, 1 V 1.85
O 0.6426 0.7745 0.8778  1 V 1.68
O 0.6664 0.6122 0.4987  1 Se 1.80, 1 V 1.84
O 0.6681 0.1123 0.9963  1 V 1.82, 1 Se 1.89
O 0.6692 0.0715 0.6281  1 Se 1.68
O 0.6724 0.2531 0.3503  1 O 1.44
O 0.6737 0.2240 0.2744  2 O 1.43-1.44
O 0.6785 0.9363 0.0862  1 Se 1.78, 1 V 1.85
O 0.6808 0.5677 0.1243  1 Se 1.64
O 0.6852 0.4460 0.5873  1 Se 1.80, 1 V 1.81
O 0.6982 0.8043 0.2451  2 O 1.28-1.29
O 0.6992 0.7048 0.7496  1 O 1.28
O 0.7048 0.6992 0.2496  1 O 1.28
O 0.7118 0.2882 0.7500  2 O 1.44
O 0.7123 0.8760 0.6217  1 V 1.74
O 0.7190 0.1777 0.7749  2 O 1.42-1.44
O 0.7469 0.3276 0.1497  1 O 1.44
O 0.7551 0.1717 0.8486  1 O 1.42
O 0.7745 0.6426 0.3778  1 V 1.68
O 0.7760 0.3263 0.2256  2 O 1.43-1.44
O 0.7841 0.2159 0.2500  2 O 1.43
O 0.7933 0.8244 0.2443  1 O 1.29
O 0.8043 0.6982 0.7451  2 O 1.28-1.29
O 0.8151 0.9416 0.8786  1 Se 1.64
O 0.8206 0.0491 0.4146  1 Se 1.80, 1 V 1.81
O 0.8223 0.2810 0.7251  2 O 1.42-1.44
O 0.8244 0.7933 0.7443  1 O 1.29
O 0.8250 0.5556 0.9135  1 Se 1.74, 1 V 1.89
O 0.8283 0.2449 0.6514  1 O 1.42
O 0.8295 0.8823 0.5005  1 Se 1.79, 1 V 1.84
O 0.8314 0.3859 0.0031  1 Se 1.84, 1 V 1.85
O 0.8379 0.4156 0.3684  1 Se 1.63
O 0.8760 0.7123 0.1217  1 V 1.74
O 0.8823 0.8295 0.0005  1 Se 1.79, 1 V 1.84
O 0.8877 0.3319 0.5037  1 V 1.82, 1 Se 1.89
O 0.8997 0.4418 0.6384  1 V 1.61
O 0.9072 0.9256 0.1369  1 V 1.63
O 0.9256 0.9072 0.6369  1 V 1.63
O 0.9285 0.3308 0.8719  1 Se 1.68
O 0.9363 0.6785 0.5862  1 Se 1.78, 1 V 1.85
O 0.9416 0.8151 0.3786  1 Se 1.64
O 0.9428 0.3946 0.1387  1 V 1.61
O 0.9509 0.1794 0.0854  1 Se 1.80, 1 V 1.81

Calculated values
As for the space group: No. 15. The MP2020-corrected energy is -5.997 eV per atom. The energy of formation comes out at -0.733 eV per atom. The calculation puts the calculated total energy at -5.7968 eV per atom.